Record 1
This record from Materials Project describes an optimized crystal structure of Li2CoO3. The functional is GGA+U.

DFT total energy	-0.200	Ha/atom
energy with MP2020 corrections	-145.1	eV per cell
calculated formation energy	-1.75	eV/atom

Cell: 5.0690 8.4608 5.1317 Å, 89.59 68.76 90.52°
With the nearest neighbours (Å) after each atom.
Fractional positions:
Li1 0.9994 0.3345 0.9937  6 O 2.00-2.19
Li2 0.0000 0.1729 0.4992  5 O 2.03-2.27
O1 0.2418 0.0156 0.2210  2 Co 1.86-1.95, 1 Li 2.03
Co1 0.0013 0.6626 0.0107  4 O 1.78-1.96
Li3 0.4960 0.6681 0.4969  6 O 2.00-2.19
Li4 0.0034 0.4983 0.5032  6 O 2.00-2.19
O2 0.2627 0.6533 0.2312  2 Co 1.88-2.03, 2 Li 2.00
Co2 0.9972 0.0053 0.0029  6 O 1.85-1.95
Co3 0.4987 0.5041 0.9898  4 O 1.78-1.97
O3 0.2967 0.3347 0.2158  2 Co 1.88-1.93, 1 Li 2.08
O4 0.7717 0.5156 0.2318  1 Co 1.78
O5 0.7276 0.6509 0.7683  1 Co 1.78
O6 0.2585 0.1513 0.7788  2 Co 1.86-1.95, 1 Li 2.03
Co4 0.5032 0.1615 0.9968  6 O 1.85-1.95
O7 0.2036 0.8320 0.7843  2 Co 1.88-1.92, 1 Li 2.08
Li5 0.5002 0.9937 0.5006  5 O 2.03-2.27
O8 0.7544 0.0136 0.7830  2 Co 1.85-1.95, 2 Li 2.03-2.05
O9 0.2367 0.5134 0.7695  2 Co 1.88-2.03, 2 Li 2.00
Li6 0.5023 0.3357 0.5008  6 O 2.05-2.19
O10 0.7206 0.3297 0.7682  2 Co 1.90-1.97, 4 Li 2.05-2.13
Li7 0.9982 0.8312 0.4993  6 O 2.05-2.19
Li8 0.5000 0.8321 0.0059  6 O 2.00-2.19
O11 0.7458 0.1530 0.2168  2 Co 1.85-1.95, 2 Li 2.03-2.05
O12 0.7799 0.8369 0.2316  2 Co 1.91-1.96, 4 Li 2.05-2.13

---

Record 2
This record from Materials Project describes an optimized crystal structure of Li2CoO3. The functional is GGA+U.

DFT total energy	-0.195	Ha/atom
energy with MP2020 corrections	-142.3	eV per cell
calculated formation energy	-1.63	eV/atom

Cell: 3.2905 8.2041 9.6969 Å, 90.00 90.00 90.00°
With the nearest neighbours (Å) after each atom.
Fractional positions:
O1 0.5000 0.3408 0.9148  1 Co 1.72
Li1 0.0000 0.9078 0.3900  4 O 1.97-2.08
O2 0.0000 0.4017 0.5905  2 Co 1.86-1.89, 2 Li 2.02
O3 0.0000 0.1592 0.4148  1 Co 1.72
O4 0.0000 0.3821 0.2231  1 Co 1.73
Co1 0.5000 0.1322 0.9014  4 O 1.72-1.89
Li2 0.5000 0.5922 0.8900  4 O 1.97-2.08
O5 0.5000 0.8821 0.2769  1 Co 1.73
O6 0.0000 0.6179 0.7769  1 Co 1.73
Li3 0.0000 0.1444 0.2042  4 O 1.96-2.05
Co2 0.0000 0.3678 0.4014  4 O 1.72-1.89
Li4 0.5000 0.6444 0.2958  4 O 1.96-2.05
Co3 0.5000 0.8678 0.0986  4 O 1.72-1.89
Li5 0.5000 0.4078 0.1100  4 O 1.97-2.08
Co4 0.0000 0.6322 0.5986  4 O 1.72-1.89
Li6 0.0000 0.8556 0.7958  4 O 1.96-2.05
O7 0.5000 0.1179 0.7231  1 Co 1.73
O8 0.0000 0.8408 0.5852  1 Co 1.72
Li7 0.5000 0.3556 0.7042  4 O 1.96-2.05
O9 0.0000 0.5983 0.4095  2 Co 1.86-1.89, 2 Li 2.02
O10 0.5000 0.9017 0.9095  2 Co 1.86-1.89, 2 Li 2.02
Li8 0.0000 0.0922 0.6100  4 O 1.97-2.08
O11 0.5000 0.6592 0.0852  1 Co 1.72
O12 0.5000 0.0983 0.0905  2 Co 1.86-1.89, 2 Li 2.02

---

> Which of these has the highest calculated formation energy?

number 2

---

> Which of these has the highest calculated formation energy?

number 2